Density functional theory data (PBE) for a relaxed U16N25 crystal.

Lattice parameters (Å, degrees): 15.0895 15.0895 9.2051 90.00 90.00 120.00
Space group R3 (No. 146, hexagonal axes)
One atom of each set of equivalent atoms:
U 0.0000 0.0000 0.0000 (multiplicity 3)
U 0.0083 0.7638 0.9928 (multiplicity 9)
U 0.0775 0.1755 0.6329 (multiplicity 9)
U 0.0974 0.4243 0.6308 (multiplicity 9)
U 0.1627 0.0927 0.3228 (multiplicity 9)
U 0.1674 0.8313 0.3108 (multiplicity 9)
N 0.0000 0.0000 0.2466 (multiplicity 3)
N 0.9995 0.2633 0.7148 (multiplicity 9)
N 0.0040 0.7376 0.2397 (multiplicity 9)
N 0.0056 0.4882 0.7331 (multiplicity 9)
N 0.0722 0.1772 0.3871 (multiplicity 9)
N 0.0780 0.9203 0.8766 (multiplicity 9)
N 0.1558 0.8129 0.5548 (multiplicity 9)
N 0.1620 0.0943 0.5785 (multiplicity 9)
N 0.1677 0.0815 0.0804 (multiplicity 9)

Total energy after the MP2020 corrections   -1366.77 eV for the cell shown
V   14.76 Å³ per atom

Density functional theory data (PBE) for a relaxed V2N crystal.

Lattice parameters (Å, degrees): 4.9059 4.9059 4.5433 90.00 90.00 120.00
Space group P-31m (No. 162)
One atom of each set of equivalent atoms:
V 0.0000 0.3363 0.2463 (multiplicity 6)
N 0.0000 0.0000 0.0000 (multiplicity 1)
N 0.3333 0.6667 0.5000 (multiplicity 2)

Total energy after the MP2020 corrections   -89.33 eV for the cell shown
V   10.52 Å³ per atom

Density functional theory data (PBE) for a relaxed VZn2N2 crystal.

Lattice parameters (Å, degrees): 10.2470 4.5394 5.9002 90.00 120.35 90.00
Space group C2/m (No. 12)
One atom of each set of equivalent atoms:
V 0.1522 0.0000 0.1232 (multiplicity 4)
Zn 0.0303 0.5000 0.7881 (multiplicity 4)
Zn 0.1869 0.0000 0.6409 (multiplicity 4)
N 0.0178 0.0000 0.2465 (multiplicity 4)
N 0.1608 0.5000 0.5968 (multiplicity 4)

Total energy after the MP2020 corrections   -116.32 eV for the cell shown
V   11.84 Å³ per atom

Density functional theory data (PBE) for a relaxed VZnN2 crystal.

Lattice parameters (Å, degrees): 5.6025 6.4222 5.2475 90.00 90.00 90.00
Space group Pna2_1 (No. 33)
One atom of each set of equivalent atoms:
V 0.0758 0.1239 0.0000 (multiplicity 4)
Zn 0.0843 0.6228 0.0039 (multiplicity 4)
N 0.0726 0.1126 0.3587 (multiplicity 4)
N 0.1021 0.6393 0.3971 (multiplicity 4)

Total energy after the MP2020 corrections   -118.51 eV for the cell shown
V   11.80 Å³ per atom

Density functional theory data (PBE) for a relaxed W43N38 crystal.

Lattice parameters (Å, degrees): 15.6240 2.8996 46.8241 90.00 94.02 90.00
Space group Cm (No. 8)
One atom of each set of equivalent atoms:
W 0.0000 0.0000 0.0000 (multiplicity 2)
W 0.0044 0.5000 0.6244 (multiplicity 2)
W 0.0288 0.5000 0.0523 (multiplicity 2)
W 0.0323 0.0000 0.6777 (multiplicity 2)
W 0.0476 0.0000 0.4276 (multiplicity 2)
W 0.0537 0.0000 0.1047 (multiplicity 2)
W 0.0574 0.5000 0.7316 (multiplicity 2)
W 0.0803 0.5000 0.1572 (multiplicity 2)
W 0.0843 0.0000 0.7828 (multiplicity 2)
W 0.0987 0.0000 0.5327 (multiplicity 2)
W 0.1066 0.0000 0.2099 (multiplicity 2)
W 0.1096 0.5000 0.8368 (multiplicity 2)
W 0.1330 0.5000 0.2623 (multiplicity 2)
W 0.1337 0.0000 0.8885 (multiplicity 2)
W 0.1509 0.0000 0.6369 (multiplicity 2)
W 0.1569 0.0000 0.3155 (multiplicity 2)
W 0.1612 0.5000 0.9414 (multiplicity 2)
W 0.1788 0.5000 0.6907 (multiplicity 2)
W 0.1884 0.5000 0.3695 (multiplicity 2)
W 0.1886 0.0000 0.9939 (multiplicity 2)
W 0.2149 0.5000 0.0464 (multiplicity 2)
W 0.2234 0.0000 0.4205 (multiplicity 2)
W 0.2303 0.5000 0.7955 (multiplicity 2)
W 0.2382 0.5000 0.4731 (multiplicity 2)
W 0.2413 0.0000 0.0990 (multiplicity 2)
W 0.2676 0.5000 0.1517 (multiplicity 2)
W 0.2745 0.0000 0.5257 (multiplicity 2)
W 0.2901 0.5000 0.5778 (multiplicity 2)
W 0.2938 0.0000 0.2044 (multiplicity 2)
W 0.3196 0.5000 0.2573 (multiplicity 2)
W 0.3273 0.0000 0.6312 (multiplicity 2)
W 0.3453 0.0000 0.3101 (multiplicity 2)
W 0.3545 0.5000 0.6831 (multiplicity 2)
W 0.3701 0.0000 0.7365 (multiplicity 2)
W 0.3741 0.5000 0.3620 (multiplicity 2)
W 0.4021 0.0000 0.4145 (multiplicity 2)
W 0.4066 0.5000 0.7889 (multiplicity 2)
W 0.4190 0.0000 0.8392 (multiplicity 2)
W 0.4276 0.5000 0.4681 (multiplicity 2)
W 0.4481 0.5000 0.8959 (multiplicity 2)
W 0.4531 0.0000 0.5199 (multiplicity 2)
W 0.4763 0.0000 0.9469 (multiplicity 2)
W 0.4800 0.5000 0.5729 (multiplicity 2)
N 0.9997 0.0000 0.1431 (multiplicity 2)
N 0.0068 0.5000 0.8035 (multiplicity 2)
N 0.0265 0.5000 0.1957 (multiplicity 2)
N 0.0317 0.0000 0.8555 (multiplicity 2)
N 0.0528 0.0000 0.2484 (multiplicity 2)
N 0.0574 0.5000 0.9086 (multiplicity 2)
N 0.0792 0.5000 0.3013 (multiplicity 2)
N 0.0856 0.0000 0.9614 (multiplicity 2)
N 0.1082 0.0000 0.3540 (multiplicity 2)
N 0.1119 0.5000 0.0138 (multiplicity 2)
N 0.1263 0.5000 0.4077 (multiplicity 2)
N 0.1383 0.0000 0.0664 (multiplicity 2)
N 0.1519 0.0000 0.4580 (multiplicity 2)
N 0.1648 0.5000 0.1190 (multiplicity 2)
N 0.1786 0.5000 0.5122 (multiplicity 2)
N 0.1912 0.0000 0.1717 (multiplicity 2)
N 0.2034 0.0000 0.5630 (multiplicity 2)
N 0.2172 0.5000 0.2244 (multiplicity 2)
N 0.2306 0.5000 0.6172 (multiplicity 2)
N 0.2429 0.0000 0.2772 (multiplicity 2)
N 0.2545 0.0000 0.6701 (multiplicity 2)
N 0.2690 0.5000 0.3300 (multiplicity 2)
N 0.2850 0.5000 0.7206 (multiplicity 2)
N 0.2968 0.0000 0.3815 (multiplicity 2)
N 0.3097 0.0000 0.7749 (multiplicity 2)
N 0.3237 0.5000 0.4351 (multiplicity 2)
N 0.3318 0.5000 0.8256 (multiplicity 2)
N 0.3481 0.0000 0.4865 (multiplicity 2)
N 0.3742 0.0000 0.8783 (multiplicity 2)
N 0.3750 0.5000 0.5405 (multiplicity 2)
N 0.3926 0.5000 0.9326 (multiplicity 2)
N 0.3982 0.0000 0.5920 (multiplicity 2)
N 0.4217 0.0000 0.9854 (multiplicity 2)
N 0.4274 0.5000 0.6448 (multiplicity 2)
N 0.4470 0.5000 0.0379 (multiplicity 2)
N 0.4536 0.0000 0.6984 (multiplicity 2)
N 0.4736 0.0000 0.0906 (multiplicity 2)
N 0.4788 0.5000 0.7498 (multiplicity 2)

Total energy after the MP2020 corrections   -1752.11 eV for the cell shown
V   13.06 Å³ per atom

Density functional theory data (PBE) for a relaxed W3N4 crystal.

Lattice parameters (Å, degrees): 4.2273 4.2273 4.2273 90.00 90.00 90.00
Space group Pm-3m (No. 221)
One atom of each set of equivalent atoms:
W 0.0000 0.0000 0.5000 (multiplicity 3)
N 0.0000 0.0000 0.0000 (multiplicity 1)
N 0.0000 0.5000 0.5000 (multiplicity 3)

Total energy after the MP2020 corrections   -73.98 eV for the cell shown
V   10.79 Å³ per atom

Density functional theory data (PBE) for a relaxed Zn3N crystal.

Lattice parameters (Å, degrees): 3.7138 3.7138 3.7138 90.00 90.00 90.00
Space group Pm-3m (No. 221)
One atom of each set of equivalent atoms:
Zn 0.0000 0.0000 0.5000 (multiplicity 3)
N 0.5000 0.5000 0.5000 (multiplicity 1)

Total energy after the MP2020 corrections   -9.49 eV for the cell shown
V   12.81 Å³ per atom

Density functional theory data (PBE) for a relaxed Zn3N crystal.

Lattice parameters (Å, degrees): 3.5242 3.5242 8.2216 90.00 90.00 90.00
Space group I4/mmm (No. 139)
One atom of each set of equivalent atoms:
Zn 0.0000 0.0000 0.0000 (multiplicity 2)
Zn 0.0000 0.5000 0.2500 (multiplicity 4)
N 0.0000 0.0000 0.5000 (multiplicity 2)

Total energy after the MP2020 corrections   -19.01 eV for the cell shown
V   12.76 Å³ per atom

| no. | energy of formation from the pure elements (eV/f.u.) |
| --- | --- |
| 1 | -66.52 |
| 2 | -3.27 |
| 3 | -0.80 |
| 4 | -2.61 |
| 5 | -2.07 |
| 6 | -1.76 |
| 7 | 2.63 |
| 8 | 2.61 |